No. 1
Below is a geometry-optimized Li2Fe2Si8O19 structure, with properties calculated at the GGA+U level.

The structure in POSCAR format:
```
Li2Fe2Si8O19
1.0
1.4348 -0.4972 4.7082
6.2395 3.4225 1.0191
-2.7035 12.0273 2.1011
Li Fe Si O
2 2 8 19
Direct
0.7580 0.8036 0.6371
0.5643 0.1987 0.3639
0.6845 0.6000 0.4043
0.2980 0.4055 0.5934
0.4666 0.7583 0.9267
0.8661 0.9808 0.1690
0.0811 0.8649 0.4186
0.3285 0.4389 0.8296
0.7670 0.5585 0.1689
0.9520 0.1355 0.5804
0.8496 0.0193 0.8297
0.2254 0.2406 0.0726
0.1726 0.9680 0.8886
0.7408 0.8342 0.9001
0.8732 0.9988 0.2966
0.4057 0.8660 0.4152
0.4526 0.6124 0.8506
0.0484 0.6369 0.4575
0.1219 0.5285 0.7118
0.8636 0.7555 0.1726
0.1549 0.3657 0.9381
0.5206 0.6321 0.0611
0.6220 0.2448 0.8256
0.6555 0.4661 0.2881
0.6941 0.3630 0.5421
0.0636 0.3843 0.1488
0.2756 0.1364 0.5832
0.8754 0.0001 0.7023
0.8921 0.0003 0.4997
0.5733 0.1681 0.0997
0.1398 0.0299 0.1093
```

Values from the calculation:
As for the space group: P1 (1). The crystal system is triclinic. As for the total energy: -7.4466 eV/atom. The calculation puts the energy above the most stable polymorph in this dataset at 3 meV/atom.

No. 2
Below is a geometry-optimized Li2FeSiO4 structure, with properties calculated at the GGA+U level.

The structure in POSCAR format:
```
Li2FeSiO4
1.0
1.8671 2.5005 6.7740
-4.6301 5.6456 -1.5220
-3.4140 -7.2707 -0.0827
Li Fe Si O
8 4 4 16
Direct
0.6606 0.8439 0.0017
0.1606 0.3439 0.0017
0.3439 0.1606 0.5017
0.8439 0.6606 0.5017
0.5497 0.2032 0.2530
0.0497 0.7032 0.2530
0.7032 0.0497 0.7530
0.2032 0.5498 0.7530
0.5889 0.4203 0.0114
0.4202 0.5886 0.5113
0.0889 0.9204 0.0113
0.9204 0.0889 0.5113
0.4684 0.7931 0.2540
0.9685 0.2932 0.2542
0.7931 0.4684 0.7540
0.2931 0.9685 0.7541
0.8759 0.0625 0.0359
0.3758 0.5625 0.0358
0.5625 0.3757 0.5357
0.0624 0.8758 0.5357
0.7719 0.3794 0.2547
0.2719 0.8794 0.2547
0.8794 0.2719 0.7547
0.3794 0.7719 0.7547
0.6307 0.9564 0.2522
0.1307 0.4565 0.2522
0.9564 0.6307 0.7522
0.4565 0.1307 0.7522
0.1006 0.2774 0.4705
0.6005 0.7773 0.4704
0.7773 0.6006 0.9705
0.2773 0.1005 0.9704
```

Values from the calculation:
As for the total energy: -6.6217 eV/atom. The calculation puts the energy above the most stable polymorph in this dataset at 4 meV/atom.